# 1
First-principles (PBE+U) data for crystalline MoH4O5 at its relaxed geometry, as listed in Materials Project.

Structure (POSCAR):
```
MoH4O5
1.0
4.0800 0.0000 0.0000
-1.1936 6.8990 0.0000
-0.1992 -0.3703 7.5381
Mo H O
2 8 10
direct
0.0794 0.0021 0.2513
0.9206 0.9979 0.7487
0.0383 0.3529 0.1581
0.0487 0.3526 0.6667
0.3661 0.4143 0.9096
0.3674 0.4206 0.4055
0.6326 0.5794 0.5945
0.6339 0.5857 0.0904
0.9513 0.6474 0.3333
0.9617 0.6471 0.8419
0.0000 0.0000 0.0000
0.0000 0.0000 0.5000
0.0769 0.2780 0.7728
0.0814 0.2805 0.2634
0.4952 0.9971 0.7417
0.5000 0.5000 0.0000
0.5000 0.5000 0.5000
0.5048 0.0029 0.2583
0.9186 0.7195 0.7366
0.9231 0.7220 0.2272
```

Values from the calculation:
Calculated total energy   -111.739 eV/cell
Energy above the most stable polymorph in this dataset   186.0 meV per atom
Total magnetization   0.0 μB per formula unit
Formation energy   -1.34 eV per atom


# 2
First-principles (PBE+U) data for crystalline LiV3F10 at its relaxed geometry, as listed in Materials Project.

Structure (POSCAR):
```
LiV3F10
1.0
3.9868 0.0000 0.0000
0.0000 6.0380 0.0000
-0.1990 0.0000 15.5696
Li V F
2 6 20
direct
0.0000 0.0079 0.0000
0.0000 0.9921 0.5000
0.0720 0.0029 0.2449
0.0720 0.9971 0.7449
0.0822 0.4429 0.6104
0.0822 0.5571 0.1104
0.0871 0.4637 0.8932
0.0871 0.5363 0.3932
0.0162 0.1060 0.6187
0.0162 0.8940 0.1187
0.0641 0.1354 0.8677
0.0641 0.8646 0.3677
0.0654 0.2676 0.3255
0.0654 0.7324 0.8255
0.0670 0.3160 0.0102
0.0670 0.6840 0.5102
0.0870 0.2711 0.1685
0.0870 0.7289 0.6685
0.1062 0.2978 0.4865
0.1062 0.7022 0.9865
0.1214 0.3419 0.7365
0.1214 0.6581 0.2365
0.5723 0.0023 0.2463
0.5723 0.9977 0.7463
0.5809 0.4464 0.6030
0.5809 0.5536 0.1030
0.5830 0.4573 0.8920
0.5830 0.5427 0.3920
```

Values from the calculation:
Calculated total energy   -164.885 eV/cell
Energy above the most stable polymorph in this dataset   0.0 meV per atom
Total magnetization   6.0 μB per formula unit
Formation energy   -3.13 eV per atom


# 3
First-principles (PBE+U) data for crystalline Mo2P2O11 at its relaxed geometry, as listed in Materials Project.

Structure (POSCAR):
```
Mo2P2O11
1.0
3.8893 0.0000 0.0000
0.0000 6.5368 0.0000
-1.8754 0.0000 8.6038
Mo P O
2 2 11
direct
0.0000 0.0000 0.0000
0.3076 0.5000 0.5534
0.2557 0.0000 0.4482
0.9793 0.5000 0.1305
0.0426 0.2996 0.0375
0.0426 0.7004 0.0375
0.1686 0.0000 0.2784
0.1797 0.5000 0.3031
0.3052 0.1858 0.5466
0.3052 0.8142 0.5466
0.3974 0.5000 0.7512
0.5471 0.0000 0.0364
0.5942 0.5000 0.1332
0.7908 0.5000 0.5276
0.9227 0.0000 0.8023
```

Values from the calculation:
Calculated total energy   -102.976 eV/cell
Energy above the most stable polymorph in this dataset   265.4 meV per atom
Total magnetization   0.6 μB per formula unit
Formation energy   -2.00 eV per atom


# 4
First-principles (PBE+U) data for crystalline Ta2MnO6 at its relaxed geometry, as listed in Materials Project.

Structure (POSCAR):
```
Ta2MnO6
1.0
4.7938 0.0000 0.0000
0.0000 17.4166 0.0000
0.0000 0.0000 5.2007
Ta Mn O
8 4 24
direct
0.0000 0.0540 0.2500
0.0000 0.2814 0.7500
0.0000 0.7186 0.2500
0.0000 0.9460 0.7500
0.5000 0.2186 0.2500
0.5000 0.4460 0.7500
0.5000 0.5540 0.2500
0.5000 0.7814 0.7500
0.0000 0.3928 0.2500
0.0000 0.6072 0.7500
0.5000 0.1072 0.7500
0.5000 0.8928 0.2500
0.2146 0.0346 0.5672
0.2146 0.9654 0.0672
0.2306 0.3716 0.6084
0.2306 0.6284 0.1084
0.2381 0.2873 0.0729
0.2381 0.7127 0.5729
0.2619 0.2127 0.5729
0.2619 0.7873 0.0729
0.2694 0.1284 0.1084
0.2694 0.8716 0.6084
0.2854 0.4654 0.0672
0.2854 0.5346 0.5672
0.7146 0.4654 0.4328
0.7146 0.5346 0.9328
0.7306 0.1284 0.3916
0.7306 0.8716 0.8916
0.7381 0.2127 0.9271
0.7381 0.7873 0.4271
0.7619 0.2873 0.4271
0.7619 0.7127 0.9271
0.7694 0.3716 0.8916
0.7694 0.6284 0.3916
0.7854 0.0346 0.9328
0.7854 0.9654 0.4328
```

Values from the calculation:
Calculated total energy   -338.281 eV/cell
Energy above the most stable polymorph in this dataset   10.9 meV per atom
Formation energy   -3.09 eV per atom


# 5
First-principles (PBE+U) data for crystalline CaV2O10 at its relaxed geometry, as listed in Materials Project.

Structure (POSCAR):
```
CaV2O10
1.0
6.8569 0.0000 0.0000
-3.4229 7.2313 0.0000
-1.1786 -3.4905 8.3123
Ca V O
2 4 20
direct
0.0893 0.3507 0.1493
0.9107 0.6493 0.8507
0.0665 0.9505 0.3248
0.4559 0.1020 0.6655
0.5441 0.8980 0.3345
0.9335 0.0495 0.6752
0.0156 0.2320 0.8611
0.1026 0.0246 0.0079
0.1418 0.1713 0.3036
0.1890 0.1250 0.6171
0.2121 0.5642 0.8002
0.2350 0.5373 0.5545
0.3130 0.9378 0.4236
0.3213 0.5508 0.6930
0.3631 0.6536 0.2094
0.4047 0.9638 0.7723
0.5953 0.0362 0.2277
0.6369 0.3464 0.7906
0.6787 0.4492 0.3070
0.6870 0.0622 0.5764
0.7650 0.4627 0.4455
0.7879 0.4358 0.1998
0.8110 0.8750 0.3829
0.8582 0.8287 0.6964
0.8974 0.9754 0.9921
0.9844 0.7680 0.1389
```

Values from the calculation:
Calculated total energy   -166.546 eV/cell
Energy above the most stable polymorph in this dataset   38.5 meV per atom
Total magnetization   1.0 μB per formula unit
Formation energy   -1.31 eV per atom


# 6
First-principles (PBE+U) data for crystalline Sr7CaMnFe7O20 at its relaxed geometry, as listed in Materials Project.

Structure (POSCAR):
```
Sr7CaMnFe7O20
1.0
11.1693 0.0000 0.0000
-0.0020 11.4656 0.0000
-5.5470 -5.7162 15.6980
Sr Ca Mn Fe O
28 4 4 28 80
direct
0.0000 0.0000 0.0000
0.0001 0.4961 0.4957
0.0014 0.4976 0.0009
0.0015 0.9938 0.4981
0.1400 0.1393 0.2796
0.1421 0.1351 0.7802
0.1426 0.6388 0.7826
0.2502 0.2288 0.4972
0.2513 0.2311 0.0017
0.2507 0.7294 0.4962
0.2509 0.7305 0.0017
0.3916 0.3702 0.7806
0.3930 0.8726 0.7815
0.4980 0.4967 0.4956
0.4997 0.4978 0.9993
0.5003 0.9955 0.4981
0.4996 0.9988 0.9992
0.6393 0.6394 0.2797
0.6406 0.1394 0.2798
0.6417 0.1365 0.7800
0.6420 0.6398 0.7822
0.7487 0.2316 0.4979
0.7495 0.7320 0.4964
0.7512 0.2315 0.0010
0.7505 0.7300 0.0003
0.8901 0.8693 0.2803
0.8910 0.3728 0.7806
0.8926 0.8749 0.7817
0.1424 0.6464 0.2838
0.3905 0.3682 0.2841
0.3929 0.8674 0.2847
0.8901 0.3680 0.2842
0.0546 0.8339 0.6387
0.5546 0.8373 0.6385
0.8036 0.5321 0.6390
0.8064 0.0286 0.6388
0.0517 0.3492 0.1445
0.0535 0.3445 0.6390
0.0538 0.8422 0.1406
0.1953 0.4318 0.3828
0.1974 0.9320 0.3859
0.1979 0.4335 0.8900
0.1978 0.9346 0.8899
0.2997 0.5264 0.1443
0.3021 0.5263 0.6388
0.3031 0.0253 0.1424
0.3044 0.0214 0.6388
0.4454 0.6824 0.3852
0.4462 0.1821 0.3851
0.4481 0.1845 0.8898
0.4480 0.6847 0.8905
0.5504 0.3456 0.1424
0.5496 0.8447 0.1417
0.5525 0.3475 0.6387
0.6956 0.4321 0.3857
0.6971 0.9337 0.3884
0.6981 0.9354 0.8903
0.6990 0.4344 0.8908
0.8020 0.0269 0.1405
0.8034 0.5220 0.1423
0.9470 0.6820 0.3858
0.9477 0.1838 0.3882
0.9476 0.1845 0.8889
0.9481 0.6843 0.8907
0.0184 0.7305 0.5228
0.0253 0.7281 0.0298
0.0268 0.2274 0.5291
0.0267 0.2351 0.0338
0.0658 0.5505 0.3749
0.0678 0.0529 0.3792
0.0693 0.5537 0.8824
0.0700 0.0562 0.8853
0.0749 0.3156 0.3960
0.0762 0.8141 0.8987
0.0766 0.3147 0.8983
0.0778 0.8120 0.3951
0.1281 0.5045 0.1487
0.1301 0.4966 0.6391
0.1307 0.9930 0.1404
0.1327 0.8479 0.7550
0.1359 0.3376 0.7493
0.1358 0.9903 0.6390
0.1384 0.8307 0.2487
0.1438 0.3357 0.2506
0.2745 0.5271 0.0323
0.2752 0.5314 0.5287
0.2782 0.0279 0.0316
0.2779 0.0284 0.5280
0.3142 0.5533 0.3733
0.3177 0.0519 0.3760
0.3180 0.5562 0.8819
0.3188 0.0574 0.8825
0.3243 0.8104 0.3934
0.3257 0.8117 0.8980
0.3266 0.3123 0.8985
0.3274 0.3127 0.3969
0.3773 0.8691 0.6387
0.3796 0.3746 0.6388
0.3805 0.3773 0.1497
0.3807 0.8761 0.1491
0.3847 0.1507 0.2486
0.3852 0.6403 0.7497
0.3872 0.6510 0.2486
0.3879 0.1388 0.7499
0.5170 0.7326 0.5227
0.5225 0.2310 0.0317
0.5218 0.7296 0.0307
0.5270 0.2291 0.5295
0.5633 0.0500 0.3761
0.5633 0.5495 0.3765
0.5688 0.0561 0.8836
0.5685 0.5542 0.8821
0.5744 0.3131 0.3950
0.5735 0.8140 0.3945
0.5767 0.3152 0.8986
0.5769 0.8150 0.8995
0.6257 0.5004 0.6388
0.6294 0.4942 0.1400
0.6302 0.9931 0.1399
0.6337 0.8493 0.7547
0.6342 0.9897 0.6390
0.6365 0.3394 0.7486
0.6396 0.8378 0.2495
0.6436 0.3382 0.2502
0.7669 0.5212 0.5239
0.7686 0.0204 0.5227
0.7754 0.0306 0.0303
0.7774 0.5277 0.0316
0.8177 0.0572 0.3806
0.8185 0.5517 0.3777
0.8185 0.5563 0.8830
0.8195 0.0581 0.8840
0.8256 0.8100 0.3956
0.8262 0.8128 0.8987
0.8268 0.3133 0.8990
0.8276 0.3122 0.3966
0.8797 0.3722 0.1486
0.8821 0.6350 0.7538
0.8831 0.8682 0.6386
0.8828 0.8777 0.1411
0.8844 0.3795 0.6388
0.8850 0.1478 0.2489
0.8862 0.1358 0.7554
0.8898 0.6419 0.2492
```

Values from the calculation:
Calculated total energy   -944.061 eV/cell
Total magnetization   38.9 μB per formula unit
Formation energy   -2.39 eV per atom


# 7
First-principles (PBE+U) data for crystalline Li4MnV2WO12 at its relaxed geometry, as listed in Materials Project.

Structure (POSCAR):
```
Li4MnV2WO12
1.0
5.3396 -2.8770 4.1592
0.5786 6.0511 4.1639
-5.3501 -2.8631 4.1822
O Li V W Mn
24 8 4 2 2
direct
0.9375 0.2310 0.4515
0.4255 0.0513 0.2541
0.9255 0.0513 0.7541
0.0541 0.2424 0.0699
0.7379 0.5468 0.5616
0.2437 0.9288 0.9431
0.2471 0.4333 0.4611
0.0411 0.7492 0.5698
0.4375 0.2310 0.9515
0.9338 0.5413 0.2549
0.0410 0.4383 0.7639
0.2379 0.5467 0.0617
0.5410 0.7492 0.0698
0.5564 0.9301 0.7570
0.2426 0.0500 0.5714
0.4289 0.7466 0.4552
0.5410 0.4383 0.2639
0.7425 0.0500 0.0714
0.9289 0.7466 0.9551
0.7437 0.9288 0.4430
0.5542 0.2424 0.5698
0.7471 0.4333 0.9611
0.0565 0.9301 0.2571
0.4338 0.5413 0.7549
0.2883 0.3082 0.2169
0.2874 0.3116 0.7112
0.2743 0.7584 0.7170
0.2992 0.7736 0.2051
0.7743 0.7584 0.2169
0.7993 0.7736 0.7051
0.7884 0.3082 0.7169
0.7874 0.3116 0.2112
0.0058 0.5119 0.9942
0.0143 0.0048 0.4858
0.5058 0.5119 0.4941
0.5143 0.0048 0.9858
0.5058 0.0066 0.4909
0.0058 0.0066 0.9909
0.0065 0.5073 0.4944
0.5065 0.5071 0.9944
```

Values from the calculation:
Calculated total energy   -268.246 eV/cell
Total magnetization   3.0 μB per formula unit
Largest piezoelectric modulus   5.8 C/m2
Formation energy   -2.23 eV per atom


# 8
First-principles (PBE+U) data for crystalline Li2FeBO4 at its relaxed geometry, as listed in Materials Project.

Structure (POSCAR):
```
Li2FeBO4
1.0
10.7845 0.0000 0.0000
0.0000 5.8271 0.0000
0.0000 0.0000 4.8152
Li Fe B O
8 4 4 16
direct
0.0840 0.0034 0.1973
0.0840 0.4966 0.1973
0.4160 0.5034 0.6973
0.4160 0.9966 0.6973
0.5840 0.0034 0.3027
0.5840 0.4966 0.3027
0.9160 0.5034 0.8027
0.9160 0.9966 0.8027
0.1782 0.2500 0.6884
0.3218 0.7500 0.1884
0.6782 0.2500 0.8116
0.8218 0.7500 0.3116
0.1642 0.7500 0.6824
0.3358 0.2500 0.1824
0.6642 0.7500 0.8176
0.8358 0.2500 0.3176
0.0974 0.5371 0.7804
0.0974 0.9629 0.7804
0.1669 0.7500 0.3737
0.2041 0.2500 0.2927
0.2959 0.7500 0.7927
0.3331 0.2500 0.8737
0.4026 0.0371 0.2804
0.4026 0.4629 0.2804
0.5974 0.5371 0.7196
0.5974 0.9629 0.7196
0.6669 0.7500 0.1263
0.7041 0.2500 0.2073
0.7959 0.7500 0.7073
0.8331 0.2500 0.6263
0.9026 0.0371 0.2196
0.9026 0.4629 0.2196
```

Values from the calculation:
Calculated total energy   -208.281 eV/cell
Energy above the most stable polymorph in this dataset   24.2 meV per atom
Total magnetization   5.0 μB per formula unit
Formation energy   -2.29 eV per atom


Question: Among the records above, which one has the lowest calculated total energy?
Answer: Sr7CaMnFe7O20